Na6Cu2C4SO16: optimized geometry, PBE.

Summary:
Spin magnetization ... 0.069 μB/atom
DFT formation energy ... -1.87 eV per atom
Space group ... Fd-3
Calculated total energy ... -6.1963 eV per atom

Unit cell a=9.8715 b=9.8715 c=9.8715 alpha=60.00 beta=60.00 gamma=60.00
Atoms (fractional coordinates):
Na (0.9644, 0.9644, 0.5356)
Na (0.7144, 0.7144, 0.2856)
Na (0.5356, 0.9644, 0.9644)
Na (0.2856, 0.7144, 0.7144)
Na (0.5356, 0.9644, 0.5356)
Na (0.2856, 0.7144, 0.2856)
Na (0.9644, 0.5356, 0.9644)
Na (0.9644, 0.5356, 0.5356)
Na (0.7144, 0.2856, 0.7144)
Na (0.7144, 0.2856, 0.2856)
Na (0.5356, 0.5356, 0.9644)
Na (0.2856, 0.2856, 0.7144)
Cu (0.1250, 0.6250, 0.1250)
Cu (0.1250, 0.1250, 0.1250)
Cu (0.1250, 0.1250, 0.6250)
Cu (0.6250, 0.1250, 0.1250)
C (0.9047, 0.9047, 0.2858)
C (0.9047, 0.9047, 0.9047)
C (0.9047, 0.2858, 0.9047)
C (0.9642, 0.3453, 0.3453)
C (0.3453, 0.9642, 0.3453)
C (0.2858, 0.9047, 0.9047)
C (0.3453, 0.3453, 0.9642)
C (0.3453, 0.3453, 0.3453)
S (0.7500, 0.7500, 0.7500)
S (0.5000, 0.5000, 0.5000)
O (0.0249, 0.7639, 0.2879)
O (0.9354, 0.6882, 0.6882)
O (0.9233, 0.7639, 0.0249)
O (0.0249, 0.9233, 0.7639)
O (0.6882, 0.6882, 0.9354)
O (0.6882, 0.6882, 0.6882)
O (0.9233, 0.0249, 0.2879)
O (0.7639, 0.9233, 0.2879)
O (0.6882, 0.9354, 0.6882)
O (0.0249, 0.2879, 0.9233)
O (0.9621, 0.2251, 0.4861)
O (0.7639, 0.0249, 0.9233)
O (0.9233, 0.2879, 0.7639)
O (0.9621, 0.3267, 0.2251)
O (0.2879, 0.7639, 0.9233)
O (0.4861, 0.9621, 0.2251)
O (0.9621, 0.4861, 0.3267)
O (0.7639, 0.2879, 0.0249)
O (0.2879, 0.9233, 0.0249)
O (0.3267, 0.9621, 0.4861)
O (0.4861, 0.2251, 0.3267)
O (0.2879, 0.0249, 0.7639)
O (0.2251, 0.9621, 0.3267)
O (0.5618, 0.3146, 0.5618)
O (0.4861, 0.3267, 0.9621)
O (0.3267, 0.2251, 0.9621)
O (0.5618, 0.5618, 0.5618)
O (0.5618, 0.5618, 0.3146)
O (0.2251, 0.3267, 0.4861)
O (0.3267, 0.4861, 0.2251)
O (0.3146, 0.5618, 0.5618)
O (0.2251, 0.4861, 0.9621)


Na2CuCSO7: optimized geometry, PBE.

Summary:
Spin magnetization ... 0.084 μB/atom
DFT formation energy ... -1.86 eV per atom
Space group ... P2_1/m
Calculated total energy ... -6.0246 eV per atom

Unit cell a=7.0790 b=5.1717 c=8.7880 alpha=88.71 beta=90.00 gamma=90.00
Atoms (fractional coordinates):
Na (0.0002, 0.7688, 0.7663)
Na (0.4998, 0.7688, 0.7663)
Na (0.5002, 0.2312, 0.2337)
Na (0.9998, 0.2312, 0.2337)
Cu (0.2500, 0.2338, 0.6463)
Cu (0.7500, 0.7662, 0.3537)
C (0.2500, 0.2744, 0.9245)
C (0.7500, 0.7256, 0.0755)
S (0.7500, 0.2867, 0.5783)
S (0.2500, 0.7133, 0.4217)
O (0.7500, 0.7239, 0.9325)
O (0.2500, 0.0592, 0.8476)
O (0.2500, 0.4810, 0.8360)
O (0.9214, 0.2125, 0.6642)
O (0.5786, 0.2125, 0.6642)
O (0.2500, 0.8337, 0.5756)
O (0.7500, 0.5796, 0.5529)
O (0.2500, 0.4204, 0.4471)
O (0.7500, 0.1663, 0.4244)
O (0.4214, 0.7875, 0.3358)
O (0.0786, 0.7875, 0.3358)
O (0.7500, 0.5190, 0.1640)
O (0.7500, 0.9408, 0.1524)
O (0.2500, 0.2761, 0.0675)


Na3CuCSO7: optimized geometry, PBE.

Summary:
Spin magnetization ... 0.000 μB/atom
DFT formation energy ... -1.87 eV per atom
Space group ... P2_1/m
Calculated total energy ... -5.8154 eV per atom

Unit cell a=6.9692 b=5.1491 c=8.9981 alpha=89.88 beta=90.00 gamma=90.00
Atoms (fractional coordinates):
Na (0.7500, 0.7572, 0.0786)
Na (0.0084, 0.2469, 0.2576)
Na (0.4916, 0.2469, 0.2576)
Na (0.5084, 0.7531, 0.7424)
Na (0.9916, 0.7531, 0.7424)
Na (0.2500, 0.2428, 0.9214)
Cu (0.2500, 0.7636, 0.3642)
Cu (0.7500, 0.2364, 0.6358)
C (0.2500, 0.7360, 0.0591)
C (0.7500, 0.2640, 0.9409)
S (0.7500, 0.7020, 0.4089)
S (0.2500, 0.2980, 0.5911)
O (0.7500, 0.2833, 0.0858)
O (0.2500, 0.9633, 0.1216)
O (0.2500, 0.5276, 0.1408)
O (0.9229, 0.7846, 0.3221)
O (0.5771, 0.7846, 0.3221)
O (0.7500, 0.4095, 0.4236)
O (0.2500, 0.1835, 0.4392)
O (0.7500, 0.8165, 0.5608)
O (0.2500, 0.5905, 0.5764)
O (0.4229, 0.2154, 0.6779)
O (0.0771, 0.2154, 0.6779)
O (0.7500, 0.4724, 0.8592)
O (0.7500, 0.0367, 0.8784)
O (0.2500, 0.7167, 0.9142)